1.
# BaH2 | the Materials Project database | PBE-GGA | optimized geometry
# Energy of formation from the pure elements, eV/f.u.: -1.74
data_BaH2
_space_group_name_H-M_alt 'P 63/m m c'
_space_group_IT_number 194
_space_group_name_Hall '-P 6c 2c'
_cell_length_a 4.4559
_cell_length_b 4.4559
_cell_length_c 6.0604
_cell_angle_alpha 90.00
_cell_angle_beta 90.00
_cell_angle_gamma 120.00
loop_
_atom_site_label
_atom_site_type_symbol
_atom_site_fract_x
_atom_site_fract_y
_atom_site_fract_z
Ba1 Ba 0.3333 0.6667 0.2500
H1 H 0.0000 0.0000 0.0000
H2 H 0.3333 0.6667 0.7500



2.
# Cs3SiF7 | the Materials Project database | PBE-GGA | optimized geometry
# Energy of formation from the pure elements, eV/f.u.: -36.59
data_Cs3SiF7
_space_group_name_H-M_alt 'P 4/m b m'
_space_group_IT_number 127
_space_group_name_Hall '-P 4 2ab'
_cell_length_a 8.474
_cell_length_b 8.474
_cell_length_c 6.240
_cell_angle_alpha 90.00
_cell_angle_beta 90.00
_cell_angle_gamma 90.00
loop_
_atom_site_label
_atom_site_type_symbol
_atom_site_fract_x
_atom_site_fract_y
_atom_site_fract_z
Cs1 Cs 0.000 0.000 0.000
Cs2 Cs 0.196 0.304 0.500
Si1 Si 0.000 0.500 0.000
F1 F 0.000 0.000 0.500
F2 F 0.101 0.601 0.196
F3 F 0.144 0.356 0.000



3.
# CsMg14Ga | the Materials Project database | PBE-GGA | optimized geometry
# Energy of formation from the pure elements, eV/f.u.: 2.61
data_CsMg14Ga
_space_group_name_H-M_alt 'P -6 m 2'
_space_group_IT_number 187
_space_group_name_Hall 'P -6 2'
_cell_length_a 6.5256
_cell_length_b 6.5256
_cell_length_c 10.8122
_cell_angle_alpha 90.00
_cell_angle_beta 90.00
_cell_angle_gamma 120.00
loop_
_atom_site_label
_atom_site_type_symbol
_atom_site_fract_x
_atom_site_fract_y
_atom_site_fract_z
Cs1 Cs 0.0000 0.0000 0.0000
Mg1 Mg 0.0056 0.5028 0.0000
Mg2 Mg 0.1709 0.3417 0.2703
Mg3 Mg 0.5029 0.0057 0.5000
Mg4 Mg 0.6667 0.3333 0.2448
Ga1 Ga 0.0000 0.0000 0.5000



4.
# CuHClO | the Materials Project database | PBE-GGA | optimized geometry
# Energy of formation from the pure elements, eV/f.u.: -3.38
data_CuHClO
_space_group_name_H-M_alt 'P 1 21/c 1'
_space_group_IT_number 14
_cell_length_a 6.009
_cell_length_b 6.827
_cell_length_c 5.674
_cell_angle_alpha 90.00
_cell_angle_beta 114.38
_cell_angle_gamma 90.00
loop_
_space_group_symop_operation_xyz
'x,y,z'
'-x,-y,-z'
'-x,y+1/2,-z+1/2'
'x,-y+1/2,z+1/2'
loop_
_atom_site_label
_atom_site_type_symbol
_atom_site_fract_x
_atom_site_fract_y
_atom_site_fract_z
Cu1 Cu 0.011 0.121 0.271
H1 H 0.301 0.641 0.006
Cl1 Cl 0.316 0.093 0.130
O1 O 0.122 0.639 0.945



5.
# SrO10 | the Materials Project database | PBE-GGA | optimized geometry
# Energy of formation from the pure elements, eV/f.u.: -5.92
# Energy above the most stable polymorph in this dataset, meV/atom: 0
data_SrO10
_space_group_name_H-M_alt 'P 4/m c c'
_space_group_IT_number 124
_space_group_name_Hall '-P 4 2c'
_cell_length_a 5.802
_cell_length_b 5.802
_cell_length_c 8.984
_cell_angle_alpha 90.00
_cell_angle_beta 90.00
_cell_angle_gamma 90.00
loop_
_atom_site_label
_atom_site_type_symbol
_atom_site_fract_x
_atom_site_fract_y
_atom_site_fract_z
Sr1 Sr 0.000 0.000 0.250
O1 O 0.105 0.349 0.071
O2 O 0.500 0.500 0.181



6.
# NdCu5 | the Materials Project database | PBE-GGA | optimized geometry
# Energy of formation from the pure elements, eV/f.u.: -0.95
data_NdCu5
_space_group_name_H-M_alt 'P 6/m m m'
_space_group_IT_number 191
_space_group_name_Hall '-P 6 2'
_cell_length_a 5.1124
_cell_length_b 5.1124
_cell_length_c 4.1012
_cell_angle_alpha 90.00
_cell_angle_beta 90.00
_cell_angle_gamma 120.00
loop_
_atom_site_label
_atom_site_type_symbol
_atom_site_fract_x
_atom_site_fract_y
_atom_site_fract_z
Nd1 Nd 0.0000 0.0000 0.0000
Cu1 Cu 0.0000 0.5000 0.5000
Cu2 Cu 0.3333 0.6667 0.0000